[1]
# Mg6CdCoO8 | the Materials Project | GGA+U | relaxed
# - V: 165 Å³/f.u.
# - Magnetization: 0.188 μB per atom
data_Mg6CdCoO8
_chemical_formula_sum 'Mg6 Cd1 Co1 O8'
_space_group_name_H-M_alt 'P 4/m m m'
_space_group_IT_number 123
_space_group_name_Hall '-P 4 2'
_cell_length_a 4.3617
_cell_length_b 4.3617
_cell_length_c 8.6806
_cell_angle_alpha 90.00
_cell_angle_beta 90.00
_cell_angle_gamma 90.00
loop_
_atom_site_label
_atom_site_fract_x
_atom_site_fract_y
_atom_site_fract_z
_atom_site_occupancy
Mg1 0.0000 0.0000 0.0000 1
Mg2 0.0000 0.0000 0.5000 1
Mg3 0.0000 0.5000 0.2426 1
Cd1 0.5000 0.5000 0.5000 1
Co1 0.5000 0.5000 0.0000 1
O1 0.0000 0.0000 0.2496 1
O2 0.0000 0.5000 0.0000 1
O3 0.0000 0.5000 0.5000 1
O4 0.5000 0.5000 0.2343 1

[2]
# Ba2LiV2Si4O14 | the Materials Project | GGA+U | relaxed
# - V: 309 Å³/f.u.
# - Magnetization: 0.043 μB per atom
data_Ba2LiV2Si4O14
_chemical_formula_sum 'Ba2 Li1 V2 Si4 O14'
_space_group_name_H-M_alt 'P 1'
_space_group_IT_number 1
_space_group_name_Hall 'P 1'
_cell_length_a 5.5053
_cell_length_b 7.2649
_cell_length_c 8.1822
_cell_angle_alpha 90.84
_cell_angle_beta 109.26
_cell_angle_gamma 90.81
loop_
_atom_site_label
_atom_site_fract_x
_atom_site_fract_y
_atom_site_fract_z
_atom_site_occupancy
Ba1 0.0000 0.0000 0.0000 1
Ba2 0.4109 0.5062 0.8113 1
Li1 0.0864 0.2468 0.4127 1
V1 0.0896 0.5123 0.1792 1
V2 0.3271 0.9884 0.6101 1
Si1 0.5859 0.2324 0.1891 1
Si2 0.5990 0.7828 0.1992 1
Si3 0.8046 0.2811 0.6092 1
Si4 0.8171 0.7284 0.6137 1
O1 0.0957 0.2072 0.6656 1
O2 0.1084 0.8102 0.6993 1
O3 0.1950 0.4999 0.3925 1
O4 0.1964 0.0183 0.3779 1
O5 0.3017 0.3193 0.1004 1
O6 0.3088 0.6939 0.1082 1
O7 0.5690 0.0059 0.1414 1
O8 0.6131 0.1909 0.6998 1
O9 0.6216 0.8079 0.7067 1
O10 0.6973 0.2679 0.3967 1
O11 0.7032 0.7543 0.4054 1
O12 0.8004 0.6943 0.1107 1
O13 0.8029 0.3172 0.1110 1
O14 0.8329 0.5047 0.6641 1

Electronic total energy list, top to bottom, in eV/cell: -90.094 -171.574
Energy of formation from the pure elements list, top to bottom, in eV per atom: -2.501 -3.031